This record from the Materials Project describes Mg2Be3N2F12 after structural relaxation. The functional is PBE-GGA.

```
data_Mg2Be3N2F12
_chemical_formula_sum 'Mg8 Be12 N8 F48'
_cell_length_a 10.067
_cell_length_b 10.067
_cell_length_c 10.067
_cell_angle_alpha 90.00
_cell_angle_beta 90.00
_cell_angle_gamma 90.00
_symmetry_space_group_name_H-M 'P 21 3'
_symmetry_Int_Tables_number 198
_symmetry_space_group_name_Hall 'P 2ac 2ab 3'
loop_
_atom_site_label
_atom_site_type_symbol
_atom_site_fract_x
_atom_site_fract_y
_atom_site_fract_z
_atom_site_occupancy
Mg1 Mg 0.102 0.102 0.102 1
Mg2 Mg 0.164 0.336 0.664 1
Be1 Be 0.018 0.782 0.125 1
N1 N 0.049 0.951 0.451 1
N2 N 0.183 0.683 0.817 1
F1 F 0.006 0.436 0.729 1
F2 F 0.014 0.932 0.166 1
F3 F 0.044 0.192 0.267 1
F4 F 0.102 0.165 0.744 1
```


This record from the Materials Project describes Mg2Be3Tl2F12 after structural relaxation. The functional is PBE-GGA.

```
data_Mg2Be3Tl2F12
_chemical_formula_sum 'Mg8 Be12 Tl8 F48'
_cell_length_a 10.104
_cell_length_b 10.104
_cell_length_c 10.104
_cell_angle_alpha 90.00
_cell_angle_beta 90.00
_cell_angle_gamma 90.00
_symmetry_space_group_name_H-M 'P 21 3'
_symmetry_Int_Tables_number 198
_symmetry_space_group_name_Hall 'P 2ac 2ab 3'
loop_
_atom_site_label
_atom_site_type_symbol
_atom_site_fract_x
_atom_site_fract_y
_atom_site_fract_z
_atom_site_occupancy
Mg1 Mg 0.099 0.099 0.099 1
Mg2 Mg 0.165 0.335 0.665 1
Be1 Be 0.020 0.786 0.124 1
Tl1 Tl 0.049 0.951 0.451 1
Tl2 Tl 0.183 0.683 0.817 1
F1 F 0.005 0.436 0.731 1
F2 F 0.014 0.934 0.169 1
F3 F 0.046 0.194 0.268 1
F4 F 0.100 0.166 0.743 1
```


# BeNF3 (PBE-GGA, relaxed)
data_BeNF3
_chemical_formula_sum 'Be4 N4 F12'
_cell_length_a 6.174
_cell_length_b 4.724
_cell_length_c 13.986
_cell_angle_alpha 90.00
_cell_angle_beta 110.71
_cell_angle_gamma 90.00
_symmetry_space_group_name_H-M 'P 1 21/c 1'
_symmetry_Int_Tables_number 14
loop_
_symmetry_equiv_pos_as_xyz
'x,y,z'
'-x,-y,-z'
'-x,y+1/2,-z+1/2'
'x,-y+1/2,z+1/2'
loop_
_atom_site_label
_atom_site_type_symbol
_atom_site_fract_x
_atom_site_fract_y
_atom_site_fract_z
_atom_site_occupancy
Be1 Be 0.098 0.086 0.307 1
N1 N 0.328 0.600 0.608 1
F1 F 0.064 0.099 0.779 1
F2 F 0.229 0.646 0.108 1
F3 F 0.264 0.527 0.896 1
# Excess energy over the best structure of this formula in the dataset (eV per atom): 0.000


# BeN2F4 (PBE-GGA, relaxed)
data_BeN2F4
_chemical_formula_sum 'Be8 N16 F32'
_cell_length_a 13.620
_cell_length_b 7.395
_cell_length_c 12.228
_cell_angle_alpha 90.00
_cell_angle_beta 90.00
_cell_angle_gamma 90.00
_symmetry_space_group_name_H-M 'P n a 21'
_symmetry_Int_Tables_number 33
loop_
_symmetry_equiv_pos_as_xyz
'x,y,z'
'-x,-y,z+1/2'
'-x+1/2,y+1/2,z+1/2'
'x+1/2,-y+1/2,z'
loop_
_atom_site_label
_atom_site_type_symbol
_atom_site_fract_x
_atom_site_fract_y
_atom_site_fract_z
_atom_site_occupancy
Be1 Be 0.060 0.201 0.000 1
Be2 Be 0.114 0.798 0.114 1
N1 N 0.002 0.634 0.890 1
N2 N 0.135 0.722 0.467 1
N3 N 0.199 0.292 0.698 1
N4 N 0.241 0.734 0.780 1
F1 F 0.019 0.792 0.158 1
F2 F 0.062 0.117 0.899 1
F3 F 0.062 0.491 0.908 1
F4 F 0.074 0.257 0.108 1
F5 F 0.171 0.794 0.017 1
F6 F 0.196 0.830 0.224 1
F7 F 0.199 0.112 0.691 1
F8 F 0.216 0.819 0.481 1
# Excess energy over the best structure of this formula in the dataset (eV per atom): 0.045


# BeN2F4 (PBE-GGA, relaxed)
data_BeN2F4
_chemical_formula_sum 'Be8 N16 F32'
_cell_length_a 14.682
_cell_length_b 6.216
_cell_length_c 11.918
_cell_angle_alpha 90.00
_cell_angle_beta 90.00
_cell_angle_gamma 90.00
_symmetry_space_group_name_H-M 'P n a 21'
_symmetry_Int_Tables_number 33
loop_
_symmetry_equiv_pos_as_xyz
'x,y,z'
'-x,-y,z+1/2'
'-x+1/2,y+1/2,z+1/2'
'x+1/2,-y+1/2,z'
loop_
_atom_site_label
_atom_site_type_symbol
_atom_site_fract_x
_atom_site_fract_y
_atom_site_fract_z
_atom_site_occupancy
Be1 Be 0.019 0.165 0.000 1
Be2 Be 0.224 0.823 0.756 1
N1 N 0.049 0.094 0.263 1
N2 N 0.137 0.752 0.012 1
N3 N 0.177 0.661 0.483 1
N4 N 0.192 0.315 0.711 1
F1 F 0.014 0.896 0.279 1
F2 F 0.042 0.002 0.521 1
F3 F 0.091 0.583 0.478 1
F4 F 0.098 0.287 0.979 1
F5 F 0.134 0.761 0.744 1
F6 F 0.190 0.419 0.265 1
F7 F 0.219 0.711 0.967 1
F8 F 0.236 0.941 0.237 1
# Excess energy over the best structure of this formula in the dataset (eV per atom): 0.001


# BeN2F4 (PBE-GGA, relaxed)
data_BeN2F4
_chemical_formula_sum 'Be4 N8 F16'
_cell_length_a 7.662
_cell_length_b 6.788
_cell_length_c 11.725
_cell_angle_alpha 90.00
_cell_angle_beta 90.00
_cell_angle_gamma 90.00
_symmetry_space_group_name_H-M 'P n m a'
_symmetry_Int_Tables_number 62
loop_
_symmetry_equiv_pos_as_xyz
'x,y,z'
'-x,-y,-z'
'-x+1/2,-y,z+1/2'
'x+1/2,y,-z+1/2'
'x+1/2,-y+1/2,-z+1/2'
'-x+1/2,y+1/2,z+1/2'
'-x,y+1/2,-z'
'x,-y+1/2,z'
loop_
_atom_site_label
_atom_site_type_symbol
_atom_site_fract_x
_atom_site_fract_y
_atom_site_fract_z
_atom_site_occupancy
Be1 Be 0.193 0.250 0.098 1
N1 N 0.020 0.750 0.359 1
N2 N 0.226 0.750 0.872 1
F1 F 0.099 0.250 0.376 1
F2 F 0.185 0.750 0.402 1
F3 F 0.191 0.046 0.107 1
# Excess energy over the best structure of this formula in the dataset (eV per atom): 0.000


# BeNF3 (PBE-GGA, relaxed)
data_BeNF3
_chemical_formula_sum 'Be4 N4 F12'
_cell_length_a 4.720
_cell_length_b 4.815
_cell_length_c 12.895
_cell_angle_alpha 90.00
_cell_angle_beta 90.00
_cell_angle_gamma 90.00
_symmetry_space_group_name_H-M 'P n m a'
_symmetry_Int_Tables_number 62
loop_
_symmetry_equiv_pos_as_xyz
'x,y,z'
'-x,-y,-z'
'-x+1/2,-y,z+1/2'
'x+1/2,y,-z+1/2'
'x+1/2,-y+1/2,-z+1/2'
'-x+1/2,y+1/2,z+1/2'
'-x,y+1/2,-z'
'x,-y+1/2,z'
loop_
_atom_site_label
_atom_site_type_symbol
_atom_site_fract_x
_atom_site_fract_y
_atom_site_fract_z
_atom_site_occupancy
Be1 Be 0.106 0.250 0.185 1
N1 N 0.028 0.250 0.891 1
F1 F 0.191 0.509 0.112 1
F2 F 0.208 0.750 0.784 1
# Excess energy over the best structure of this formula in the dataset (eV per atom): 0.217


# BeNF3 (PBE-GGA, relaxed)
data_BeNF3
_chemical_formula_sum 'Be4 N4 F12'
_cell_length_a 4.713
_cell_length_b 5.749
_cell_length_c 12.654
_cell_angle_alpha 90.13
_cell_angle_beta 90.19
_cell_angle_gamma 101.36
_symmetry_space_group_name_H-M 'P 1'
_symmetry_Int_Tables_number 1
loop_
_symmetry_equiv_pos_as_xyz
'x,y,z'
loop_
_atom_site_label
_atom_site_type_symbol
_atom_site_fract_x
_atom_site_fract_y
_atom_site_fract_z
_atom_site_occupancy
Be1 Be 0.000 0.000 0.000 1
Be2 Be 0.189 0.601 0.500 1
Be3 Be 0.501 0.001 0.115 1
Be4 Be 0.691 0.603 0.614 1
N1 N 0.205 0.109 0.693 1
N2 N 0.482 0.493 0.921 1
N3 N 0.712 0.112 0.421 1
N4 N 0.981 0.492 0.193 1
F1 F 0.064 0.843 0.922 1
F2 F 0.123 0.758 0.422 1
F3 F 0.209 0.074 0.095 1
F4 F 0.210 0.363 0.910 1
F5 F 0.476 0.240 0.705 1
F6 F 0.482 0.529 0.520 1
F7 F 0.567 0.843 0.192 1
F8 F 0.626 0.760 0.692 1
F9 F 0.709 0.074 0.020 1
F10 F 0.710 0.362 0.205 1
F11 F 0.982 0.528 0.595 1
F12 F 0.985 0.239 0.410 1
# Excess energy over the best structure of this formula in the dataset (eV per atom): 0.007


This record from the Materials Project describes NaBe2N3F8 after structural relaxation. The functional is PBE-GGA.

```
data_NaBe2N3F8
_chemical_formula_sum 'Na1 Be2 N3 F8'
_cell_length_a 5.6546
_cell_length_b 5.6546
_cell_length_c 7.3552
_cell_angle_alpha 90.00
_cell_angle_beta 90.00
_cell_angle_gamma 120.00
_symmetry_space_group_name_H-M 'P -3 m 1'
_symmetry_Int_Tables_number 164
_symmetry_space_group_name_Hall '-P 3 2"'
loop_
_atom_site_label
_atom_site_type_symbol
_atom_site_fract_x
_atom_site_fract_y
_atom_site_fract_z
_atom_site_occupancy
Na1 Na 0.0000 0.0000 0.0000 1
Be1 Be 0.3333 0.6667 0.8008 1
N1 N 0.0000 0.0000 0.5000 1
N2 N 0.3333 0.6667 0.2208 1
F1 F 0.1836 0.3672 0.8022 1
F2 F 0.3333 0.6667 0.3976 1
```


This record from the Materials Project describes NaBe2Tl3F8 after structural relaxation. The functional is PBE-GGA.

```
data_NaBe2Tl3F8
_chemical_formula_sum 'Na1 Be2 Tl3 F8'
_cell_length_a 5.8627
_cell_length_b 5.8627
_cell_length_c 7.5736
_cell_angle_alpha 90.00
_cell_angle_beta 90.00
_cell_angle_gamma 120.00
_symmetry_space_group_name_H-M 'P -3 m 1'
_symmetry_Int_Tables_number 164
_symmetry_space_group_name_Hall '-P 3 2"'
loop_
_atom_site_label
_atom_site_type_symbol
_atom_site_fract_x
_atom_site_fract_y
_atom_site_fract_z
_atom_site_occupancy
Na1 Na 0.0000 0.0000 0.0000 1
Be1 Be 0.3333 0.6667 0.7330 1
Tl1 Tl 0.0000 0.0000 0.5000 1
Tl2 Tl 0.3333 0.6667 0.1877 1
F1 F 0.1866 0.3732 0.8066 1
F2 F 0.3333 0.6667 0.5291 1
```


Calculated values (eV per atom) of ΔE_f for the records, taken in order: -2.34; -3.35; -1.57; -0.68; -0.72; -0.73; -1.35; -1.57; -1.30; -2.85.
Calculated values (A^3/atom) of calculated volume for the records, taken in order: 13.4; 13.6; 19.1; 22.0; 19.4; 21.8; 14.7; 16.8; 14.5; 16.1.